Entry 1:
An optimized crystal structure of KTiBr3. Source: the Materials Project database, functional PBE.

abc: 13.400 13.400 5.929
angles: 90.00 90.00 120.00
Positions (direct):
K 0.001 0.358 0.000
K 0.357 0.999 0.000
K 0.358 0.357 0.500
K 0.642 0.643 0.000
K 0.643 0.001 0.500
K 0.999 0.642 0.500
Ti 0.000 0.000 0.496
Ti 0.000 0.000 0.996
Ti 0.333 0.667 0.281
Ti 0.333 0.667 0.719
Ti 0.667 0.333 0.219
Ti 0.667 0.333 0.781
Br 0.095 0.191 0.746
Br 0.096 0.905 0.746
Br 0.162 0.494 0.499
Br 0.172 0.668 0.001
Br 0.191 0.096 0.246
Br 0.332 0.504 0.001
Br 0.332 0.838 0.499
Br 0.494 0.332 0.999
Br 0.496 0.828 0.001
Br 0.504 0.172 0.501
Br 0.506 0.668 0.499
Br 0.668 0.162 0.999
Br 0.668 0.496 0.501
Br 0.809 0.904 0.746
Br 0.828 0.332 0.501
Br 0.838 0.506 0.999
Br 0.904 0.095 0.246
Br 0.905 0.809 0.246

* DFT formation energy: -1.669 eV/atom
* mass density: 3.53 g cm⁻³
* symmetry: P6_3 (173)

=====

Entry 2:
An optimized crystal structure of HfCrAgS4. Source: the Materials Project database, functional PBE.

abc: 6.632 7.758 12.709
angles: 81.88 84.94 89.97
Positions (direct):
Hf 0.000 0.000 0.000
Hf 0.092 0.177 0.305
Hf 0.384 0.595 0.702
Hf 0.602 0.453 0.298
Cr 0.482 0.778 0.001
Cr 0.614 0.939 0.293
Cr 0.872 0.845 0.707
Cr 0.878 0.335 0.707
Ag 0.114 0.696 0.299
Ag 0.355 0.091 0.700
Ag 0.501 0.264 0.997
Ag 0.983 0.523 0.998
S 0.006 0.107 0.640
S 0.034 0.603 0.648
S 0.101 0.225 0.118
S 0.159 0.747 0.100
S 0.339 0.024 0.902
S 0.361 0.565 0.890
S 0.436 0.169 0.366
S 0.448 0.683 0.379
S 0.573 0.359 0.637
S 0.573 0.856 0.631
S 0.613 0.513 0.109
S 0.640 0.961 0.111
S 0.810 0.811 0.888
S 0.867 0.283 0.882
S 0.904 0.923 0.383
S 0.923 0.417 0.377

* DFT formation energy: -0.993 eV/atom
* mass density: 4.81 g cm⁻³
* excess energy over the best structure of this formula in the dataset: 0.239 eV/atom
* symmetry: P1 (1)

=====

Entry 3:
An optimized crystal structure of BaSrGd4O8. Source: the Materials Project database, functional PBE.

abc: 3.505 12.222 10.409
angles: 90.00 90.00 90.00
Positions (direct):
Ba 0.000 0.102 0.000
Ba 0.000 0.898 0.500
Sr 0.500 0.397 0.506
Sr 0.500 0.603 0.006
Gd 0.000 0.140 0.331
Gd 0.000 0.363 0.826
Gd 0.000 0.637 0.326
Gd 0.000 0.860 0.831
Gd 0.500 0.141 0.676
Gd 0.500 0.364 0.175
Gd 0.500 0.636 0.675
Gd 0.500 0.859 0.176
O 0.000 0.035 0.742
O 0.000 0.271 0.626
O 0.000 0.331 0.326
O 0.000 0.423 0.038
O 0.000 0.577 0.538
O 0.000 0.669 0.826
O 0.000 0.729 0.126
O 0.000 0.965 0.242
O 0.500 0.083 0.465
O 0.500 0.174 0.185
O 0.500 0.235 0.871
O 0.500 0.464 0.757
O 0.500 0.536 0.257
O 0.500 0.765 0.371
O 0.500 0.826 0.685
O 0.500 0.917 0.965

* DFT formation energy: -3.623 eV/atom
* mass density: 7.31 g cm⁻³
* symmetry: Pmc2_1 (26)

=====

Entry 4:
An optimized crystal structure of Y4Cu13Si2Sb2O28. Source: the Materials Project database, functional PBE.

abc: 5.491 9.056 12.585
angles: 88.56 77.41 83.29
Positions (direct):
Y 0.000 0.000 0.000
Y 0.017 0.694 0.814
Y 0.424 0.693 0.999
Y 0.593 0.000 0.815
Cu 0.081 0.345 0.263
Cu 0.166 0.672 0.526
Cu 0.170 0.985 0.663
Cu 0.193 0.349 0.026
Cu 0.285 0.671 0.288
Cu 0.427 0.985 0.151
Cu 0.509 0.347 0.407
Cu 0.587 0.711 0.662
Cu 0.729 0.021 0.526
Cu 0.816 0.348 0.787
Cu 0.841 0.709 0.151
Cu 0.847 0.021 0.289
Cu 0.938 0.346 0.549
Si 0.270 0.057 0.407
Si 0.745 0.637 0.407
Sb 0.372 0.347 0.678
Sb 0.642 0.347 0.136
O 0.035 0.737 0.986
O 0.091 0.992 0.516
O 0.095 0.450 0.795
O 0.114 0.203 0.682
O 0.199 0.989 0.299
O 0.207 0.765 0.656
O 0.223 0.240 0.406
O 0.226 0.451 0.555
O 0.373 0.452 0.257
O 0.385 0.201 0.135
O 0.403 0.958 0.987
O 0.448 0.689 0.407
O 0.457 0.765 0.159
O 0.482 0.450 0.019
O 0.532 0.243 0.795
O 0.556 0.932 0.656
O 0.566 0.004 0.408
O 0.614 0.736 0.829
O 0.622 0.493 0.684
O 0.641 0.244 0.555
O 0.790 0.243 0.258
O 0.797 0.454 0.406
O 0.804 0.930 0.159
O 0.815 0.703 0.515
O 0.899 0.493 0.131
O 0.917 0.244 0.019
O 0.922 0.704 0.299
O 0.982 0.959 0.829

* DFT formation energy: -1.817 eV/atom
* mass density: 5.28 g cm⁻³
* symmetry: P1 (1)

=====

Entry 5:
An optimized crystal structure of SiAg6SO8. Source: the Materials Project database, functional PBE.

abc: 10.427 10.427 10.427
angles: 140.46 140.46 57.15
Positions (direct):
Si 0.375 0.625 0.750
Si 0.625 0.375 0.250
Ag 0.000 0.295 0.295
Ag 0.000 0.705 0.705
Ag 0.139 0.389 0.750
Ag 0.295 0.000 0.795
Ag 0.295 0.500 0.295
Ag 0.389 0.139 0.250
Ag 0.500 0.295 0.795
Ag 0.500 0.705 0.205
Ag 0.611 0.861 0.750
Ag 0.705 0.000 0.205
Ag 0.705 0.500 0.705
Ag 0.861 0.611 0.250
S 0.125 0.875 0.250
S 0.875 0.125 0.750
O 0.001 0.078 0.924
O 0.078 0.001 0.424
O 0.078 0.654 0.076
O 0.232 0.676 0.555
O 0.324 0.379 0.555
O 0.324 0.768 0.945
O 0.346 0.922 0.424
O 0.379 0.324 0.055
O 0.621 0.676 0.945
O 0.654 0.078 0.576
O 0.676 0.232 0.055
O 0.676 0.621 0.445
O 0.768 0.324 0.445
O 0.922 0.346 0.924
O 0.922 0.999 0.576
O 0.999 0.922 0.076

* DFT formation energy: -1.290 eV/atom
* mass density: 6.09 g cm⁻³
* symmetry: I4_1/amd (141)

=====

Entry 6:
An optimized crystal structure of Sr2InBiO6. Source: the Materials Project database, functional PBE.

abc: 8.431 8.431 8.431
angles: 90.00 90.00 90.00
Positions (direct):
Sr 0.250 0.250 0.250
Sr 0.250 0.250 0.750
Sr 0.250 0.750 0.250
Sr 0.250 0.750 0.750
Sr 0.750 0.250 0.250
Sr 0.750 0.250 0.750
Sr 0.750 0.750 0.250
Sr 0.750 0.750 0.750
In 0.000 0.000 0.000
In 0.000 0.500 0.500
In 0.500 0.000 0.500
In 0.500 0.500 0.000
Bi 0.000 0.000 0.500
Bi 0.000 0.500 0.000
Bi 0.500 0.000 0.000
Bi 0.500 0.500 0.500
O 0.034 0.543 0.752
O 0.034 0.957 0.748
O 0.043 0.248 0.534
O 0.043 0.252 0.966
O 0.248 0.534 0.043
O 0.248 0.966 0.457
O 0.252 0.534 0.457
O 0.252 0.966 0.043
O 0.457 0.248 0.966
O 0.457 0.252 0.534
O 0.466 0.543 0.748
O 0.466 0.957 0.752
O 0.534 0.043 0.248
O 0.534 0.457 0.252
O 0.543 0.748 0.466
O 0.543 0.752 0.034
O 0.748 0.034 0.957
O 0.748 0.466 0.543
O 0.752 0.034 0.543
O 0.752 0.466 0.957
O 0.957 0.748 0.034
O 0.957 0.752 0.466
O 0.966 0.043 0.252
O 0.966 0.457 0.248

* DFT formation energy: -2.303 eV/atom
* mass density: 6.59 g cm⁻³
* symmetry: Pn-3 (201)

=====

Entry 7:
An optimized crystal structure of LiTiP4O12. Source: the Materials Project database, functional PBE.

abc: 7.284 7.284 10.098
angles: 113.59 113.59 70.15
Positions (direct):
Li 0.000 0.500 0.000
Li 0.500 0.000 0.500
Ti 0.055 0.945 0.250
Ti 0.945 0.055 0.750
P 0.253 0.727 0.522
P 0.273 0.747 0.978
P 0.291 0.309 0.301
P 0.309 0.291 0.801
P 0.691 0.709 0.199
P 0.709 0.691 0.699
P 0.727 0.253 0.022
P 0.747 0.273 0.478
O 0.090 0.845 0.598
O 0.121 0.270 0.819
O 0.155 0.910 0.902
O 0.190 0.349 0.153
O 0.191 0.727 0.087
O 0.219 0.498 0.438
O 0.270 0.121 0.319
O 0.273 0.809 0.413
O 0.301 0.533 0.848
O 0.349 0.190 0.653
O 0.467 0.699 0.652
O 0.498 0.219 0.938
O 0.502 0.781 0.062
O 0.533 0.301 0.348
O 0.651 0.810 0.347
O 0.699 0.467 0.152
O 0.727 0.191 0.587
O 0.730 0.879 0.681
O 0.781 0.502 0.562
O 0.809 0.273 0.913
O 0.810 0.651 0.847
O 0.845 0.090 0.098
O 0.879 0.730 0.181
O 0.910 0.155 0.402

* DFT formation energy: -2.733 eV/atom
* mass density: 2.80 g cm⁻³
* excess energy over the best structure of this formula in the dataset: 0.022 eV/atom
* symmetry: C2/c (15)

=====

Entry 8:
An optimized crystal structure of NdP3. Source: the Materials Project database, functional PBE.

abc: 4.000 4.000 9.640
angles: 90.00 90.00 90.00
Positions (direct):
Nd 0.000 0.000 0.000
Nd 0.500 0.500 0.500
P 0.000 0.000 0.500
P 0.000 0.500 0.250
P 0.000 0.500 0.750
P 0.500 0.000 0.250
P 0.500 0.000 0.750
P 0.500 0.500 0.000

* DFT formation energy: -0.279 eV/atom
* mass density: 5.11 g cm⁻³
* symmetry: I4/mmm (139)

=====

Number 1: spin magnetization 6.82 μB/cell. Number 2: spin magnetization 12.00 μB/cell. Number 3: spin magnetization 56.00 μB/cell. Number 4: spin magnetization 8.59 μB/cell. Number 5: spin magnetization 0.00 μB/cell. Number 6: spin magnetization 0.00 μB/cell. Number 7: spin magnetization 2.00 μB/cell. Number 8: spin magnetization 0.00 μB/cell.